Material: Mg3Zn
Method: DFT, PBE
State: relaxed

```
data_Mg3Zn
_symmetry_space_group_name_H-M 'P m m 2'
_symmetry_Int_Tables_number 25
_symmetry_space_group_name_Hall 'P 2 -2'
_cell_length_a 3.095
_cell_length_b 4.995
_cell_length_c 5.298
_cell_angle_alpha 90.00
_cell_angle_beta 90.00
_cell_angle_gamma 90.00
loop_
_atom_site_label
_atom_site_fract_x
_atom_site_fract_y
_atom_site_fract_z
Mg1 0.000 0.000 0.000
Mg2 0.000 0.500 0.340
Mg3 0.500 0.000 0.511
Zn1 0.500 0.500 0.838
```

Values from the calculation:
Total DFT energy (no corrections) = -1.523 eV per atom
Energy of formation from the pure elements = -0.01 eV per atom
Volume = 82 Å³/cell